The following is a meta-GGA r2SCAN calculation of a relaxed structure of Ti2Cr4Si5, from the Materials Project.

It has space group Ibam (No. 72), with a = 7.382 Å, b = 15.686 Å, c = 4.755 Å, α = 90.00°, β = 90.00° and γ = 90.00°. The asymmetric unit holds Ti at (0.115, 0.142, 0.000), Cr at (0.000, 0.308, 0.250), Cr at (0.249, 0.436, 0.000), Si at (0.000, 0.000, 0.250), Si at (0.081, 0.436, 0.500) and Si at (0.208, 0.213, 0.500).

Its calculated total energy is -12.283 eV per atom.